! PBE with a Hubbard U PrWO5, relaxed; values from VASP
&SYSTEM
  ibrav = 0, nat = 28, ntyp = 3
/
ATOMIC_SPECIES
Pr 140.91 Pr.upf
W 183.84 W.upf
O 16.00 O.upf
CELL_PARAMETERS angstrom
5.3991 0.0000 0.0000
0.0000 13.2661 0.0000
-3.1732 0.0000 6.5611
ATOMIC_POSITIONS angstrom
Pr -0.1966 0.7688 1.8530
Pr -1.7833 5.8642 5.1335
Pr 4.0091 7.4019 1.4275
Pr 2.4225 12.4973 4.7081
W -0.6251 1.8579 5.5444
W 0.9616 4.7751 2.2639
W 1.2643 8.4910 4.2972
W 2.8509 11.4081 1.0167
O -1.5968 1.2425 3.8167
O -0.0102 5.3906 0.5361
O -2.0123 0.9349 6.3717
O -0.4257 5.6981 3.0912
O 0.1019 8.5369 2.8973
O -1.4848 11.3622 6.1778
O 0.6334 3.0292 1.9801
O -0.9532 3.6038 5.2606
O 0.5787 0.9045 4.3480
O 2.1654 5.7286 1.0675
O 0.0605 7.5375 5.4936
O 1.6471 12.3616 2.2131
O 3.1791 9.6622 1.3004
O 1.5925 10.2369 4.5809
O 3.7106 1.9039 0.3832
O 2.1240 4.7292 3.6638
O 2.6515 7.5680 3.4699
O 4.2382 12.3312 0.1893
O 2.2360 7.8755 6.0249
O 3.8227 12.0236 2.7444
! - DFT formation energy: -2.579 eV/atom
! - Space-group type: No. 14


! PBE with a Hubbard U Pr2WO6, relaxed; values from VASP
&SYSTEM
  ibrav = 0, nat = 36, ntyp = 3
/
ATOMIC_SPECIES
Pr 140.91 Pr.upf
W 183.84 W.upf
O 16.00 O.upf
CELL_PARAMETERS angstrom
8.4744 -5.8023 0.0000
8.4744 5.8023 0.0000
-1.6979 0.0000 5.3773
ATOMIC_POSITIONS angstrom
Pr 1.4557 1.3287 4.7658
Pr 7.2010 4.5402 4.0330
Pr 2.3047 -1.3287 2.0772
Pr 8.0500 1.5013 1.3443
Pr 7.2010 -1.5013 4.0330
Pr 12.9463 1.3287 3.3001
Pr 8.0500 -4.5402 1.3443
Pr 13.7953 -1.3287 0.6115
W 4.9494 1.7173 3.0127
W 5.7984 -1.7173 0.3241
W 9.4526 1.7173 5.0532
W 10.3016 -1.7173 2.3645
O 4.1288 2.3480 1.4386
O 1.4295 0.1640 0.4223
O 0.5806 -0.1640 3.1109
O 6.4338 2.9964 2.2696
O 5.2170 2.5552 4.6667
O 3.4752 0.6462 3.4217
O 9.6661 2.9964 0.4191
O 4.3241 -0.6462 0.7331
O 6.2281 0.3994 2.7895
O 9.1850 2.5552 3.3992
O 7.0771 -0.3994 0.1008
O 3.2799 -2.3480 4.1273
O 11.9711 2.3480 1.2500
O 8.1739 0.3994 5.2765
O 6.0660 -2.5552 1.9781
O 9.0229 -0.3994 2.5878
O 10.9269 0.6462 4.6442
O 5.5849 -2.9964 4.9582
O 11.7758 -0.6462 1.9556
O 10.0340 -2.5552 0.7106
O 8.8172 -2.9964 3.1077
O 14.6704 0.1640 2.2663
O 13.8215 -0.1640 4.9550
O 11.1222 -2.3480 3.9387
! - DFT formation energy: -3.185 eV/atom
! - Space-group type: No. 15


! PBE with a Hubbard U PrZnW2O6, relaxed; values from VASP
&SYSTEM
  ibrav = 0, nat = 20, ntyp = 4
/
ATOMIC_SPECIES
Pr 140.91 Pr.upf
Zn 65.41 Zn.upf
W 183.84 W.upf
O 16.00 O.upf
CELL_PARAMETERS angstrom
5.5429 0.0000 0.0000
0.0000 5.9142 0.0000
-5.5411 0.0000 8.1295
ATOMIC_POSITIONS angstrom
Pr 0.0000 1.1601 0.0000
Pr -2.7706 4.7541 4.0647
Zn 0.0184 0.9489 4.0136
Zn -2.7522 4.9653 8.0784
W -2.6423 1.5995 6.0795
W 0.1283 4.3146 2.0148
W 2.9052 1.5252 2.0411
W 0.1347 4.3890 6.1059
O -0.8399 2.5837 1.6329
O -3.6105 3.3305 5.6977
O -1.9230 1.2455 4.1096
O 0.8475 4.6687 0.0448
O -3.2518 1.5449 8.0883
O -0.4812 4.3693 4.0235
O 1.1312 0.2591 2.4972
O -1.6393 5.6551 6.5619
O -0.9184 2.6056 6.5766
O 1.8521 3.3085 2.5119
O 1.2162 0.3704 5.5345
O 3.9868 5.5438 1.4697
! - DFT formation energy: -2.232 eV/atom
! - Space-group type: No. 7


! PBE with a Hubbard U PuVO3, relaxed; values from VASP
&SYSTEM
  ibrav = 0, nat = 20, ntyp = 3
/
ATOMIC_SPECIES
Pu 244.00 Pu.upf
V 50.94 V.upf
O 16.00 O.upf
CELL_PARAMETERS angstrom
5.7613 0.0000 0.0000
0.0000 7.7694 0.0000
0.0000 0.0000 5.4402
ATOMIC_POSITIONS angstrom
Pu 0.3884 1.9423 0.1004
Pu 2.4922 5.8270 2.8205
Pu 3.2690 1.9423 2.6197
Pu 5.3729 5.8270 5.3398
V 0.0000 0.0000 2.7201
V 0.0000 3.8847 2.7201
V 2.8806 0.0000 0.0000
V 2.8806 3.8847 0.0000
O 0.2404 5.8270 2.0949
O 1.1241 4.3271 4.4009
O 1.1241 7.3270 4.4009
O 1.7566 0.4424 1.6808
O 1.7566 3.4423 1.6808
O 2.6402 1.9423 4.8150
O 3.1210 5.8270 0.6252
O 4.0047 4.3271 3.7594
O 4.0047 7.3270 3.7594
O 4.6372 0.4424 1.0393
O 4.6372 3.4423 1.0393
O 5.5208 1.9423 3.3454
! - DFT formation energy: -2.987 eV/atom
! - Space-group type: No. 62


! PBE with a Hubbard U Rb4WS3O14, relaxed; values from VASP
&SYSTEM
  ibrav = 0, nat = 88, ntyp = 4
/
ATOMIC_SPECIES
Rb 85.47 Rb.upf
W 183.84 W.upf
S 32.06 S.upf
O 16.00 O.upf
CELL_PARAMETERS angstrom
9.8772 0.0000 0.0000
0.0000 14.3460 0.0000
-9.7867 0.0000 11.0985
ATOMIC_POSITIONS angstrom
Rb -2.2584 3.2419 2.8140
Rb -7.1517 3.9311 8.3633
Rb -0.0570 7.3280 3.2926
Rb -4.9504 14.1910 8.8419
Rb 3.0467 7.3690 0.1551
Rb -1.8466 14.1499 5.7044
Rb -3.0165 9.9032 7.2594
Rb 1.8768 11.6158 1.7101
Rb -1.7863 2.7302 9.3884
Rb 3.1070 4.4428 3.8392
Rb 1.9372 0.1960 5.3941
Rb -2.9562 6.9770 10.9434
Rb 5.0409 0.1550 2.2567
Rb 0.1476 7.0180 7.8059
Rb 7.2423 10.4149 2.7353
Rb 2.3490 11.1041 8.2845
W 1.6551 1.6947 0.9043
W -3.2383 5.4783 6.4536
W 3.3288 8.8677 4.6450
W -1.5645 12.6513 10.1943
S -4.5314 2.2798 6.1441
S 0.3619 4.8932 0.5948
S -5.6276 7.4487 7.7134
S -0.7343 14.0702 2.1642
S 4.5443 3.2724 0.2344
S -0.3490 3.9006 5.7837
S 0.4396 10.4454 5.3149
S -4.4537 11.0736 10.8642
S 0.8248 0.2758 8.9344
S 5.7182 6.8972 3.3851
S -0.2713 9.4528 10.5037
S 4.6220 12.0662 4.9544
O -0.6799 9.0758 0.7940
O -5.5733 12.4432 6.3433
O -8.7804 9.0481 10.1038
O -3.8871 12.4709 4.5545
O -5.8089 8.6480 6.8186
O -0.9155 12.8709 1.2694
O -2.0088 0.2173 2.6799
O -6.9021 6.9557 8.2292
O 0.3342 3.3404 0.6638
O -4.5591 3.8326 6.2131
O -0.1727 0.8559 1.2664
O -5.0660 6.3171 6.8157
O -3.5202 1.7810 7.1014
O 1.3731 5.3919 1.5521
O 2.9864 2.9289 0.0789
O -1.9069 4.2440 5.6282
O 2.5236 0.1788 0.6058
O -2.3697 6.9942 6.1551
O -4.6568 7.7723 8.7540
O 0.2366 13.7467 3.2047
O 0.1414 10.4342 3.8762
O -4.7520 11.0848 9.4254
O -0.2297 2.5851 5.1499
O -5.1230 4.5878 10.6991
O 2.1017 1.9837 2.5858
O -2.7916 5.1893 8.1351
O -4.5342 2.2079 10.6090
O 0.3591 4.9651 5.0597
O -0.2686 9.3809 6.0388
O 4.6247 12.1381 0.4895
O 2.8822 9.1566 2.9635
O -2.0112 12.3623 8.5128
O 5.2136 9.7581 0.3994
O 0.3202 11.7608 5.9487
O 4.8425 3.2612 1.6731
O -0.0508 3.9118 7.2224
O -0.1460 0.5993 7.8938
O 4.7473 6.5737 2.3445
O 2.4603 7.3518 4.9435
O -2.4331 14.1672 10.4927
O 1.9975 10.1019 5.4704
O -2.8959 11.4170 11.0197
O -1.2826 8.9540 9.5465
O 3.6107 12.5649 3.9972
O 5.1566 8.0288 4.2829
O 0.2633 13.4901 9.8321
O 4.6497 10.5133 4.8855
O -0.2436 11.0056 10.4347
O 6.9927 7.3903 2.8694
O 2.0994 14.1287 8.4186
O 1.0061 1.4750 9.8292
O 5.8994 5.6979 4.2799
O 3.9777 1.8751 6.5440
O 8.8710 5.2979 0.9948
O 5.6638 1.9028 4.7553
O 0.7705 5.2702 10.3045
! - DFT formation energy: -2.173 eV/atom
! - Space-group type: No. 14


! PBE with a Hubbard U RbSbWO6, relaxed; values from VASP
&SYSTEM
  ibrav = 0, nat = 18, ntyp = 4
/
ATOMIC_SPECIES
Rb 85.47 Rb.upf
Sb 121.76 Sb.upf
W 183.84 W.upf
O 16.00 O.upf
CELL_PARAMETERS angstrom
-3.6518 5.2423 3.7083
3.6518 -5.2423 3.7083
3.6518 5.2423 -3.7083
ATOMIC_POSITIONS angstrom
Rb 1.8259 1.4901 0.0000
Rb 1.8259 3.7522 3.7083
Sb 0.0000 5.2423 0.2517
Sb 0.0000 0.0000 3.9600
W 1.8259 -2.6151 2.0974
W 1.8259 7.8574 -1.6109
O 4.0915 3.9017 -1.1669
O 3.2120 -1.3406 2.5413
O 5.4776 2.0021 0.2555
O 1.8259 4.4623 0.2738
O -0.4398 1.3406 2.5413
O 4.0915 1.3406 2.5413
O -0.4473 3.9118 1.6843
O 4.0991 3.9118 1.6843
O 1.8259 0.7799 3.9821
O -1.8259 3.2402 3.9638
O 0.4473 6.5728 1.6843
O -0.4473 1.3305 5.3926
! - DFT formation energy: -2.163 eV/atom
! - Space-group type: No. 46